A | MgMn5CrP6O24: optimized geometry, PBE+U.

Cell lengths 8.6730, 8.6970, 8.7210 Å; angles 87.29, 60.59, 60.69 degrees
Positions (direct):
Mg  0.0000  0.0000  0.0000
Mn  0.2458  0.1514  0.3993
Mn  0.2764  0.6080  0.8802
Mn  0.4954  0.7457  0.2724
Mn  0.5575  0.1730  0.7326
Mn  0.9488  0.5775  0.5428
Cr  0.7817  0.3723  0.1273
P  0.0378  0.8770  0.6369
P  0.0720  0.3749  0.8304
P  0.4664  0.8651  0.9291
P  0.4678  0.3777  0.1351
P  0.7513  0.8782  0.3450
P  0.7678  0.3711  0.4347
O  0.0505  0.2091  0.8882
O  0.0738  0.7112  0.5351
O  0.0815  0.3817  0.6492
O  0.0962  0.8237  0.7820
O  0.1851  0.9342  0.4932
O  0.2634  0.3703  0.8052
O  0.2972  0.3630  0.2971
O  0.2969  0.8353  0.9443
O  0.4206  0.9099  0.1275
O  0.4325  0.0446  0.8714
O  0.4421  0.3932  0.9732
O  0.4872  0.5447  0.1709
O  0.5531  0.9131  0.3417
O  0.6036  0.3685  0.6162
O  0.6423  0.5379  0.3738
O  0.6620  0.0528  0.4728
O  0.6826  0.6989  0.8033
O  0.6874  0.2150  0.0942
O  0.8092  0.0415  0.7339
O  0.8185  0.7089  0.4197
O  0.8752  0.5354  0.0006
O  0.8950  0.2120  0.2634
O  0.9317  0.3753  0.4573
O  0.9326  0.8363  0.1504

Properties
The space group is P1, No. 1. The value obtained for the total magnetic moment is 23.2 μB/cell.


B | MgMn5CrP6O24: optimized geometry, PBE+U.

Cell lengths 8.5144, 8.5805, 8.6572 Å; angles 92.19, 117.07, 118.94 degrees
Positions (direct):
Mg  0.0000  0.0000  0.0000
Mn  0.1813  0.4978  0.2815
Mn  0.5700  0.7661  0.9633
Mn  0.6097  0.2856  0.4928
Mn  0.8649  0.1202  0.5980
Mn  0.8719  0.6133  0.1350
Cr  0.1759  0.9863  0.7729
P  0.0853  0.5813  0.5812
P  0.1232  0.1041  0.3956
P  0.3634  0.8827  0.1642
P  0.3923  0.3908  0.0928
P  0.6812  0.6794  0.6726
P  0.6893  0.1669  0.8836
O  0.0587  0.0612  0.5401
O  0.0590  0.5709  0.3882
O  0.0592  0.7375  0.6244
O  0.0903  0.2556  0.3320
O  0.1974  0.7172  0.1888
O  0.2067  0.2134  0.9106
O  0.2268  0.9412  0.0201
O  0.2676  0.4539  0.1278
O  0.2894  0.6034  0.7229
O  0.3535  0.1619  0.4866
O  0.4607  0.0885  0.8271
O  0.4757  0.8293  0.0994
O  0.4821  0.6552  0.5225
O  0.5135  0.3380  0.2458
O  0.5462  0.0427  0.3534
O  0.5576  0.5492  0.0595
O  0.7176  0.7077  0.8737
O  0.7195  0.5279  0.6498
O  0.7251  0.1815  0.7233
O  0.7488  0.0238  0.9560
O  0.8413  0.3599  0.0376
O  0.8751  0.8860  0.7146
O  0.8987  0.3829  0.5533
O  0.9802  0.9230  0.2220

Properties
The space group is P1, No. 1. The value obtained for the total magnetic moment is 25.0 μB/cell.


Q: Which of them is the least stable? A: A.


A | W3O8: optimized geometry, PBE+U.

Cell lengths 6.2255, 6.2255, 10.0036 Å; angles 90.00, 90.00, 120.00 degrees
Positions (direct):
W  0.1680  0.3360  0.0000
W  0.1680  0.8320  0.0000
W  0.3360  0.1680  0.5000
W  0.6640  0.8320  0.0000
W  0.8320  0.1680  0.5000
W  0.8320  0.6640  0.5000
O  0.0000  0.0000  0.1092
O  0.0000  0.0000  0.6092
O  0.0402  0.5201  0.1014
O  0.1466  0.2933  0.4040
O  0.1466  0.8534  0.4040
O  0.2933  0.1466  0.9040
O  0.3333  0.6667  0.8902
O  0.4799  0.5201  0.1014
O  0.4799  0.9598  0.1014
O  0.5201  0.0402  0.6014
O  0.5201  0.4799  0.6014
O  0.6667  0.3333  0.3902
O  0.7067  0.8534  0.4040
O  0.8534  0.1466  0.9040
O  0.8534  0.7067  0.9040
O  0.9598  0.4799  0.6014

Properties
The space group is P6_3mc, No. 186. The value obtained for the total magnetic moment is 4.0 μB/cell.


B | W3O8: optimized geometry, PBE+U.

Cell lengths 7.3589, 7.3589, 6.2599 Å; angles 113.07, 113.07, 63.45 degrees
Positions (direct):
W  0.0000  0.0000  0.0000
W  0.1842  0.1842  0.6335
W  0.3428  0.3428  0.3143
W  0.5002  0.5002  0.0023
W  0.6833  0.6833  0.6344
W  0.8433  0.8433  0.3158
O  0.0111  0.0111  0.3498
O  0.0924  0.5926  0.3162
O  0.0935  0.0935  0.8142
O  0.1736  0.1736  0.2791
O  0.2419  0.7551  0.0044
O  0.3248  0.3248  0.9785
O  0.3616  0.3616  0.6548
O  0.4304  0.9462  0.6246
O  0.5091  0.5091  0.3463
O  0.5926  0.0924  0.3162
O  0.5953  0.5953  0.8108
O  0.6731  0.6731  0.2783
O  0.7551  0.2419  0.0044
O  0.8285  0.8285  0.9837
O  0.8613  0.8613  0.6546
O  0.9462  0.4304  0.6246

Properties
The space group is Cm, No. 8. The value obtained for the total magnetic moment is 4.0 μB/cell.


Q: Which of them is the least stable? A: A.


A | MgMn4O6: optimized geometry, PBE+U.

Cell lengths 3.0413, 15.4208, 5.3482 Å; angles 90.00, 106.42, 90.00 degrees
Positions (direct):
Mg  0.1603  0.2500  0.3200
Mg  0.8397  0.7500  0.6800
Mn  0.0956  0.6420  0.1913
Mn  0.0956  0.8580  0.1913
Mn  0.3639  0.5453  0.7276
Mn  0.3639  0.9547  0.7276
Mn  0.6361  0.0453  0.2724
Mn  0.6361  0.4547  0.2724
Mn  0.9044  0.1420  0.8087
Mn  0.9044  0.3580  0.8087
O  0.0000  0.0000  0.0000
O  0.0000  0.5000  0.0000
O  0.2067  0.7500  0.4133
O  0.2799  0.0720  0.5596
O  0.2799  0.4280  0.5596
O  0.4446  0.6588  0.8895
O  0.4446  0.8412  0.8895
O  0.5554  0.1588  0.1105
O  0.5554  0.3412  0.1105
O  0.7201  0.5720  0.4404
O  0.7201  0.9280  0.4404
O  0.7933  0.2500  0.5867

Properties
The space group is P2_1/m, No. 11. The value obtained for the total magnetic moment is 0.0 μB/cell.


B | MgMn4O6: optimized geometry, PBE+U.

Cell lengths 5.3536, 5.3539, 5.8457 Å; angles 89.98, 65.47, 60.15 degrees
Positions (direct):
Mg  0.0000  0.0000  0.0000
Mn  0.1853  0.4050  0.2222
Mn  0.4596  0.7643  0.3135
Mn  0.5600  0.2128  0.6655
Mn  0.8352  0.5801  0.7524
O  0.0083  0.6293  0.9883
O  0.0100  0.7816  0.4863
O  0.3389  0.1887  0.4550
O  0.3623  0.0192  0.9911
O  0.6558  0.3727  0.9827
O  0.6914  0.5077  0.5143

Properties
The space group is P1, No. 1. The value obtained for the total magnetic moment is 18.0 μB/cell.


Q: Which of them is the least stable? A: B.


A | MgZn2Mo3O8: optimized geometry, PBE+U.

Cell lengths 5.5234, 6.0310, 6.2978 Å; angles 63.32, 69.06, 71.06 degrees
Positions (direct):
Mg  0.0000  0.0000  0.0000
Zn  0.1527  0.7912  0.3939
Zn  0.8473  0.2088  0.6061
Mo  0.0000  0.5000  0.0000
Mo  0.4776  0.2466  0.2602
Mo  0.5224  0.7534  0.7398
O  0.2167  0.1367  0.1352
O  0.2357  0.1023  0.6296
O  0.2368  0.6351  0.1101
O  0.2783  0.5909  0.6780
O  0.7217  0.4091  0.3220
O  0.7632  0.3649  0.8899
O  0.7643  0.8977  0.3704
O  0.7833  0.8633  0.8648

Properties
The space group is P-1, No. 2. The value obtained for the total magnetic moment is 8.0 μB/cell.


B | MgZn2Mo3O8: optimized geometry, PBE+U.

Cell lengths 6.5500, 6.5500, 5.4873 Å; angles 107.06, 107.06, 56.72 degrees
Positions (direct):
Mg  0.0000  0.0000  0.0000
Zn  0.2220  0.2220  0.1427
Zn  0.7780  0.7780  0.8573
Mo  0.2407  0.7593  0.5000
Mo  0.5000  0.5000  0.0000
Mo  0.7593  0.2407  0.5000
O  0.1057  0.1057  0.7652
O  0.1479  0.6477  0.7760
O  0.3523  0.8521  0.2240
O  0.3964  0.3964  0.2568
O  0.6036  0.6036  0.7432
O  0.6477  0.1479  0.7760
O  0.8521  0.3523  0.2240
O  0.8943  0.8943  0.2348

Properties
The space group is C2/m, No. 12. The value obtained for the total magnetic moment is 8.0 μB/cell.


Q: Which of them is the least stable? A: B.